Below is a geometry-optimized KAlMo2O8 structure, with properties calculated at the GGA+U level.

Unit cell a=5.6379 b=5.6379 c=7.3183 alpha=90.00 beta=90.00 gamma=120.00
Space group P-3m1 (No. 164)
One atom of each set of equivalent atoms:
K: 0.0000 0.0000 0.0000 (multiplicity 1)
Al: 0.0000 0.0000 0.5000 (multiplicity 1)
Mo: 0.3333 0.6667 0.2703 (multiplicity 2)
O: 0.1571 0.3141 0.3457 (multiplicity 6)
O: 0.3333 0.6667 0.0311 (multiplicity 2)

Calculated formation energy ... -28.46 eV/f.u.

***

Below is a geometry-optimized SrMg14CoO16 structure, with properties calculated at the GGA+U level.

Unit cell a=4.394 b=8.623 c=8.683 alpha=90.00 beta=90.00 gamma=90.00
Space group Pmmm (No. 47)
One atom of each set of equivalent atoms:
Sr: 0.000 0.000 0.000 (multiplicity 1)
Mg: 0.000 0.000 0.500 (multiplicity 1)
Mg: 0.000 0.257 0.256 (multiplicity 4)
Mg: 0.000 0.500 0.500 (multiplicity 1)
Mg: 0.500 0.000 0.260 (multiplicity 2)
Mg: 0.500 0.252 0.500 (multiplicity 2)
Mg: 0.500 0.259 0.000 (multiplicity 2)
Mg: 0.500 0.500 0.251 (multiplicity 2)
Co: 0.000 0.500 0.000 (multiplicity 1)
O: 0.000 0.000 0.271 (multiplicity 2)
O: 0.000 0.253 0.500 (multiplicity 2)
O: 0.000 0.271 0.000 (multiplicity 2)
O: 0.000 0.500 0.260 (multiplicity 2)
O: 0.500 0.000 0.000 (multiplicity 1)
O: 0.500 0.000 0.500 (multiplicity 1)
O: 0.500 0.250 0.249 (multiplicity 4)
O: 0.500 0.500 0.000 (multiplicity 1)
O: 0.500 0.500 0.500 (multiplicity 1)

Calculated formation energy ... -91.23 eV/f.u.
ΔE to the lowest computed polymorph ... 0 meV/atom